A plane-wave DFT calculation with PBE was carried out for crystalline NdMg3 at its relaxed geometry.

Output
Calculated total energy, eV/f.u.: -10.07
Energy relative to the elements, meV/atom: -125

a b c (Å): 7.4181 7.4181 7.4181
angles (deg): 90.00 90.00 90.00
Space group Fm-3m (No. 225)
One atom of each set of equivalent atoms:
Nd 0.0000 0.0000 0.0000 [4 per cell]
Mg 0.0000 0.0000 0.5000 [4 per cell]
Mg 0.2500 0.2500 0.2500 [8 per cell]